No. 1
# In5Ge2N6 | the Materials Project database | r2SCAN | optimized geometry
data_In5Ge2N6
_chemical_formula_sum 'In20 Ge8 N24'
_symmetry_space_group_name_H-M 'C 1 2/c 1'
_symmetry_Int_Tables_number 15
_symmetry_space_group_name_Hall '-C 2yc'
_cell_length_a 10.5286
_cell_length_b 6.0177
_cell_length_c 13.0622
_cell_angle_alpha 90.00
_cell_angle_beta 94.16
_cell_angle_gamma 90.00
loop_
_atom_site_label
_atom_site_fract_x
_atom_site_fract_y
_atom_site_fract_z
_atom_site_occupancy
In1 0.0000 0.0394 0.2500 1
In2 0.0701 0.1526 0.9488 1
In3 0.1452 0.4779 0.6945 1
Ge1 0.1964 0.3581 0.4123 1
N1 0.0539 0.4692 0.8701 1
N2 0.2125 0.1367 0.7034 1
N3 0.2439 0.0481 0.4548 1
# **Total DFT energy (no corrections)**: -192.32 eV per formula unit

=====

No. 2
# In2Ge2O7 | the Materials Project database | r2SCAN | optimized geometry
data_In2Ge2O7
_chemical_formula_sum 'In4 Ge4 O14'
_symmetry_space_group_name_H-M 'C 1 2/m 1'
_symmetry_Int_Tables_number 12
_symmetry_space_group_name_Hall '-C 2y'
_cell_length_a 6.7016
_cell_length_b 8.8365
_cell_length_c 4.9538
_cell_angle_alpha 90.00
_cell_angle_beta 102.41
_cell_angle_gamma 90.00
loop_
_atom_site_label
_atom_site_fract_x
_atom_site_fract_y
_atom_site_fract_z
_atom_site_occupancy
In1 0.0000 0.1930 0.0000 1
Ge1 0.2341 0.5000 0.4072 1
O1 0.0000 0.5000 0.5000 1
O2 0.0903 0.0000 0.2735 1
O3 0.2398 0.3344 0.2117 1
# **Total DFT energy (no corrections)**: -135.00 eV per formula unit

=====

No. 3
# Yb2InGe2 | the Materials Project database | r2SCAN | optimized geometry
data_Yb2InGe2
_chemical_formula_sum 'Yb4 In2 Ge4'
_symmetry_space_group_name_H-M 'P 4/m b m'
_symmetry_Int_Tables_number 127
_symmetry_space_group_name_Hall '-P 4 2ab'
_cell_length_a 7.3201
_cell_length_b 7.3201
_cell_length_c 4.0492
_cell_angle_alpha 90.00
_cell_angle_beta 90.00
_cell_angle_gamma 90.00
loop_
_atom_site_label
_atom_site_fract_x
_atom_site_fract_y
_atom_site_fract_z
_atom_site_occupancy
Yb1 0.1784 0.3216 0.0000 1
In1 0.0000 0.0000 0.5000 1
Ge1 0.1212 0.6212 0.5000 1
# **Total DFT energy (no corrections)**: -127.04 eV per formula unit

=====

No. 4
# Ge5Ir4 | the Materials Project database | r2SCAN | optimized geometry
data_Ge5Ir4
_chemical_formula_sum 'Ge20 Ir16'
_symmetry_space_group_name_H-M 'P -4 c 2'
_symmetry_Int_Tables_number 116
_symmetry_space_group_name_Hall 'P -4 -2c'
_cell_length_a 5.6490
_cell_length_b 5.6490
_cell_length_c 18.3710
_cell_angle_alpha 90.00
_cell_angle_beta 90.00
_cell_angle_gamma 90.00
loop_
_atom_site_label
_atom_site_fract_x
_atom_site_fract_y
_atom_site_fract_z
_atom_site_occupancy
Ge1 0.1466 0.2249 0.1447 1
Ge2 0.1963 0.3409 0.9445 1
Ge3 0.3219 0.3219 0.7500 1
Ir1 0.0000 0.0000 0.0000 1
Ir2 0.0000 0.0000 0.2500 1
Ir3 0.0000 0.5000 0.0556 1
Ir4 0.0000 0.5000 0.3238 1
Ir5 0.5000 0.5000 0.1362 1
# **Total DFT energy (no corrections)**: -282.20 eV per formula unit

=====

No. 5
# GeIr | the Materials Project database | r2SCAN | optimized geometry
data_GeIr
_chemical_formula_sum 'Ge4 Ir4'
_symmetry_space_group_name_H-M 'P n m a'
_symmetry_Int_Tables_number 62
_symmetry_space_group_name_Hall '-P 2ac 2n'
_cell_length_a 5.5715
_cell_length_b 3.5852
_cell_length_c 6.2762
_cell_angle_alpha 90.00
_cell_angle_beta 90.00
_cell_angle_gamma 90.00
loop_
_atom_site_label
_atom_site_fract_x
_atom_site_fract_y
_atom_site_fract_z
_atom_site_occupancy
Ge1 0.1937 0.2500 0.0788 1
Ir1 0.0022 0.2500 0.7095 1
# **Total DFT energy (no corrections)**: -66.96 eV per formula unit

=====

No. 6
# Ge7Ir3 | the Materials Project database | r2SCAN | optimized geometry
data_Ge7Ir3
_chemical_formula_sum 'Ge28 Ir12'
_symmetry_space_group_name_H-M 'I m -3 m'
_symmetry_Int_Tables_number 229
_symmetry_space_group_name_Hall '-I 4 2 3'
_cell_length_a 8.7083
_cell_length_b 8.7083
_cell_length_c 8.7083
_cell_angle_alpha 90.00
_cell_angle_beta 90.00
_cell_angle_gamma 90.00
loop_
_atom_site_label
_atom_site_fract_x
_atom_site_fract_y
_atom_site_fract_z
_atom_site_occupancy
Ge1 0.0000 0.2500 0.5000 1
Ge2 0.1673 0.1673 0.1673 1
Ir1 0.0000 0.0000 0.3395 1
# **Total DFT energy (no corrections)**: -256.68 eV per formula unit